No. 1
Entry from Materials Project: LiNiPO4 after structural relaxation (PBE+U). Values from VASP.

Structure (Quantum ESPRESSO input):
```
&SYSTEM
  ibrav = 0, nat = 28, ntyp = 4
/
ATOMIC_SPECIES
Li 6.94 Li.upf
O 16.00 O.upf
Ni 58.69 Ni.upf
P 30.97 P.upf
ATOMIC_POSITIONS crystal
Li 0.305 0.185 0.902
Li 0.695 0.815 0.098
Li 0.686 0.333 0.422
Li 0.314 0.667 0.578
O 0.738 0.558 0.547
O 0.309 0.795 0.099
O 0.941 0.716 0.913
O 0.419 0.633 0.820
O 0.057 0.164 0.482
O 0.581 0.367 0.180
O 0.132 0.343 0.736
O 0.868 0.657 0.264
O 0.818 0.041 0.170
O 0.466 0.828 0.427
O 0.943 0.836 0.518
O 0.691 0.205 0.901
O 0.182 0.959 0.830
O 0.262 0.442 0.453
O 0.059 0.284 0.087
O 0.534 0.172 0.573
Ni 0.135 0.944 0.314
Ni 0.199 0.477 0.211
Ni 0.801 0.523 0.789
Ni 0.865 0.056 0.686
P 0.751 0.721 0.438
P 0.249 0.279 0.562
P 0.213 0.776 0.917
P 0.787 0.224 0.083
CELL_PARAMETERS angstrom
5.147 0.426 -0.070
0.945 7.519 -0.308
0.071 -0.013 8.055
```

E above lowest polymorph (eV/f.u.): 0.47
Formation energy from the elements (meV per atom): -2298

No. 2
Entry from Materials Project: Li3Ni2P3O12 after structural relaxation (PBE+U). Values from VASP.

Structure (Quantum ESPRESSO input):
```
&SYSTEM
  ibrav = 0, nat = 80, ntyp = 4
/
ATOMIC_SPECIES
O 16.00 O.upf
Li 6.94 Li.upf
P 30.97 P.upf
Ni 58.69 Ni.upf
ATOMIC_POSITIONS crystal
O 0.159 0.442 0.918
O 0.759 0.986 0.684
O 0.836 0.520 0.923
O 0.772 0.341 0.811
O 0.659 0.558 0.582
O 0.594 0.100 0.833
O 0.990 0.586 0.714
O 0.108 0.212 0.856
O 0.520 0.086 0.265
O 0.588 0.167 0.972
O 0.094 0.900 0.667
O 0.841 0.558 0.082
O 0.728 0.341 0.311
O 0.053 0.864 0.961
O 0.272 0.659 0.689
O 0.406 0.900 0.167
O 0.370 0.617 0.928
O 0.906 0.100 0.333
O 0.480 0.914 0.735
O 0.088 0.833 0.528
O 0.892 0.788 0.144
O 0.259 0.014 0.816
O 0.164 0.480 0.077
O 0.831 0.736 0.432
O 0.169 0.264 0.568
O 0.608 0.788 0.644
O 0.341 0.442 0.418
O 0.510 0.586 0.214
O 0.669 0.736 0.932
O 0.553 0.136 0.539
O 0.912 0.167 0.472
O 0.020 0.914 0.235
O 0.870 0.383 0.572
O 0.228 0.659 0.189
O 0.412 0.833 0.028
O 0.130 0.617 0.428
O 0.947 0.136 0.039
O 0.447 0.864 0.461
O 0.980 0.086 0.765
O 0.241 0.014 0.316
O 0.664 0.520 0.423
O 0.392 0.212 0.356
O 0.741 0.986 0.184
O 0.010 0.414 0.286
O 0.490 0.414 0.786
O 0.630 0.383 0.072
O 0.336 0.480 0.577
O 0.331 0.264 0.068
Li 0.435 0.650 0.790
Li 0.724 0.970 0.319
Li 0.776 0.970 0.819
Li 0.065 0.650 0.290
Li 0.565 0.350 0.210
Li 0.731 0.613 0.184
Li 0.269 0.387 0.816
Li 0.224 0.030 0.181
Li 0.769 0.613 0.684
Li 0.231 0.387 0.316
Li 0.276 0.030 0.681
Li 0.935 0.350 0.710
P 0.390 0.744 0.150
P 0.110 0.744 0.650
P 0.256 0.461 0.999
P 0.397 0.038 0.353
P 0.890 0.256 0.350
P 0.744 0.539 0.001
P 0.897 0.962 0.147
P 0.756 0.539 0.501
P 0.103 0.038 0.853
P 0.244 0.461 0.499
P 0.610 0.256 0.850
P 0.603 0.962 0.647
Ni 0.543 0.368 0.388
Ni 0.458 0.875 0.886
Ni 0.457 0.632 0.612
Ni 0.042 0.875 0.386
Ni 0.958 0.125 0.614
Ni 0.043 0.632 0.112
Ni 0.957 0.368 0.888
Ni 0.542 0.125 0.114
CELL_PARAMETERS angstrom
8.807 0.000 0.000
0.000 8.766 0.000
0.000 8.640 12.297
```

E above lowest polymorph (eV/f.u.): 0.25
Formation energy from the elements (meV per atom): -2261

No. 3
Entry from Materials Project: Li3Ni2P3O12 after structural relaxation (PBE+U). Values from VASP.

Structure (Quantum ESPRESSO input):
```
&SYSTEM
  ibrav = 0, nat = 40, ntyp = 4
/
ATOMIC_SPECIES
O 16.00 O.upf
P 30.97 P.upf
Ni 58.69 Ni.upf
Li 6.94 Li.upf
ATOMIC_POSITIONS crystal
O 0.805 0.608 0.010
O 0.153 0.209 0.543
O 0.870 0.254 0.138
O 0.832 0.468 0.502
O 0.138 0.870 0.254
O 0.502 0.832 0.468
O 0.791 0.457 0.847
O 0.130 0.746 0.862
O 0.457 0.847 0.791
O 0.209 0.543 0.153
O 0.847 0.791 0.457
O 0.254 0.138 0.870
O 0.532 0.498 0.168
O 0.543 0.153 0.209
O 0.498 0.168 0.532
O 0.168 0.532 0.498
O 0.195 0.392 0.990
O 0.608 0.010 0.805
O 0.862 0.130 0.746
O 0.392 0.990 0.195
O 0.746 0.862 0.130
O 0.468 0.502 0.832
O 0.010 0.805 0.608
O 0.990 0.195 0.392
P 0.746 0.458 0.043
P 0.043 0.746 0.458
P 0.458 0.043 0.746
P 0.957 0.254 0.542
P 0.254 0.542 0.957
P 0.542 0.957 0.254
Ni 0.856 0.856 0.856
Ni 0.347 0.347 0.347
Ni 0.653 0.653 0.653
Ni 0.144 0.144 0.144
Li 0.267 0.921 0.662
Li 0.338 0.733 0.079
Li 0.079 0.338 0.733
Li 0.662 0.267 0.921
Li 0.921 0.662 0.267
Li 0.733 0.079 0.338
CELL_PARAMETERS angstrom
-6.595 -0.443 -6.092
-2.765 -7.650 -3.826
-8.011 -3.763 1.570
```

E above lowest polymorph (eV/f.u.): 0.00
Formation energy from the elements (meV per atom): -2273

No. 4
Entry from Materials Project: LiNiPO4 after structural relaxation (PBE+U). Values from VASP.

Structure (Quantum ESPRESSO input):
```
&SYSTEM
  ibrav = 0, nat = 28, ntyp = 4
/
ATOMIC_SPECIES
Li 6.94 Li.upf
O 16.00 O.upf
Ni 58.69 Ni.upf
P 30.97 P.upf
ATOMIC_POSITIONS crystal
Li 0.880 0.027 0.640
Li 0.709 0.534 0.829
Li 0.120 0.973 0.360
Li 0.291 0.466 0.171
O 0.059 0.189 0.475
O 0.693 0.541 0.594
O 0.546 0.164 0.557
O 0.646 0.257 0.928
O 0.078 0.290 0.058
O 0.343 0.674 0.801
O 0.454 0.836 0.443
O 0.207 0.362 0.683
O 0.941 0.811 0.526
O 0.865 0.011 0.164
O 0.306 0.459 0.406
O 0.354 0.743 0.072
O 0.135 0.989 0.836
O 0.922 0.711 0.941
O 0.657 0.326 0.199
O 0.793 0.638 0.317
Ni 0.289 0.201 0.893
Ni 0.712 0.799 0.107
Ni 0.718 0.369 0.415
Ni 0.282 0.630 0.585
P 0.190 0.781 0.911
P 0.281 0.284 0.533
P 0.719 0.716 0.468
P 0.811 0.219 0.088
CELL_PARAMETERS angstrom
-2.942 -1.308 -4.110
5.008 -4.431 -3.416
-1.568 -7.508 3.975
```

E above lowest polymorph (eV/f.u.): 0.44
Formation energy from the elements (meV per atom): -2302

No. 5
Entry from Materials Project: Li2NiP2O7 after structural relaxation (PBE+U). Values from VASP.

Structure (Quantum ESPRESSO input):
```
&SYSTEM
  ibrav = 0, nat = 48, ntyp = 4
/
ATOMIC_SPECIES
O 16.00 O.upf
Li 6.94 Li.upf
Ni 58.69 Ni.upf
P 30.97 P.upf
ATOMIC_POSITIONS crystal
O 0.403 0.850 0.595
O 0.271 0.250 0.000
O 0.729 0.750 0.000
O 0.526 0.355 0.307
O 0.679 0.929 0.964
O 0.679 0.571 0.036
O 0.821 0.929 0.464
O 0.097 0.650 0.905
O 0.821 0.571 0.536
O 0.974 0.145 0.193
O 0.474 0.645 0.692
O 0.597 0.350 0.594
O 0.597 0.150 0.406
O 0.526 0.145 0.693
O 0.974 0.355 0.807
O 0.026 0.645 0.192
O 0.026 0.855 0.808
O 0.179 0.071 0.536
O 0.403 0.650 0.405
O 0.321 0.429 0.964
O 0.097 0.850 0.095
O 0.903 0.350 0.094
O 0.771 0.750 0.500
O 0.229 0.250 0.500
O 0.903 0.150 0.906
O 0.179 0.429 0.464
O 0.474 0.855 0.308
O 0.321 0.071 0.036
Li 0.394 0.560 0.886
Li 0.607 0.440 0.113
Li 0.893 0.060 0.387
Li 0.393 0.940 0.114
Li 0.607 0.060 0.886
Li 0.893 0.440 0.614
Li 0.107 0.560 0.386
Li 0.106 0.940 0.614
Ni 0.750 0.250 0.250
Ni 0.750 0.250 0.750
Ni 0.250 0.750 0.250
Ni 0.250 0.750 0.750
P 0.112 0.353 0.964
P 0.888 0.648 0.036
P 0.888 0.852 0.964
P 0.612 0.852 0.464
P 0.388 0.147 0.536
P 0.612 0.648 0.536
P 0.388 0.352 0.464
P 0.112 0.148 0.036
CELL_PARAMETERS angstrom
-2.643 -3.321 -2.664
-7.822 -2.992 11.491
-6.402 5.947 -1.062
```

E above lowest polymorph (eV/f.u.): 0.20
Formation energy from the elements (meV per atom): -2491

No. 6
Entry from Materials Project: LiNiP2O7 after structural relaxation (PBE+U). Values from VASP.

Structure (Quantum ESPRESSO input):
```
&SYSTEM
  ibrav = 0, nat = 22, ntyp = 4
/
ATOMIC_SPECIES
P 30.97 P.upf
O 16.00 O.upf
Li 6.94 Li.upf
Ni 58.69 Ni.upf
ATOMIC_POSITIONS crystal
P 0.208 0.814 0.053
P 0.817 0.604 0.539
P 0.317 0.396 0.461
P 0.708 0.186 0.947
O 0.066 0.670 0.982
O 0.816 0.412 0.407
O 0.476 0.240 0.486
O 0.316 0.588 0.593
O 0.167 0.055 0.124
O 0.313 0.891 0.856
O 0.667 0.945 0.876
O 0.976 0.760 0.514
O 0.813 0.109 0.144
O 0.312 0.584 0.221
O 0.812 0.416 0.779
O 0.670 0.797 0.509
O 0.170 0.203 0.491
O 0.566 0.330 0.018
Li 0.513 0.769 0.746
Li 0.013 0.231 0.254
Ni 0.649 0.193 0.319
Ni 0.149 0.807 0.681
CELL_PARAMETERS angstrom
-2.467 3.225 -7.380
-4.646 -1.737 0.795
-3.692 4.815 3.339
```

E above lowest polymorph (eV/f.u.): 0.56
Formation energy from the elements (meV per atom): -2247

No. 7
Entry from Materials Project: Li2NiP2O7 after structural relaxation (PBE+U). Values from VASP.

Structure (Quantum ESPRESSO input):
```
&SYSTEM
  ibrav = 0, nat = 48, ntyp = 4
/
ATOMIC_SPECIES
O 16.00 O.upf
P 30.97 P.upf
Ni 58.69 Ni.upf
Li 6.94 Li.upf
ATOMIC_POSITIONS crystal
O 0.083 0.708 0.091
O 0.291 0.446 0.192
O 0.739 0.081 0.019
O 0.039 0.453 0.696
O 0.443 0.711 0.685
O 0.446 0.912 0.195
O 0.225 0.544 0.455
O 0.109 0.059 0.857
O 0.565 0.076 0.803
O 0.627 0.678 0.450
O 0.693 0.525 0.794
O 0.371 0.858 0.541
O 0.023 0.261 0.292
O 0.028 0.890 0.347
O 0.391 0.657 0.957
O 0.978 0.730 0.724
O 0.709 0.665 0.169
O 0.273 0.913 0.981
O 0.549 0.275 0.306
O 0.367 0.319 0.541
O 0.904 0.929 0.135
O 0.947 0.514 0.274
O 0.927 0.280 0.906
O 0.603 0.325 0.038
O 0.971 0.094 0.646
O 0.632 0.145 0.461
O 0.765 0.459 0.536
O 0.289 0.326 0.822
P 0.315 0.805 0.051
P 0.084 0.182 0.797
P 0.567 0.295 0.462
P 0.112 0.438 0.295
P 0.692 0.185 0.947
P 0.429 0.703 0.531
P 0.919 0.804 0.196
P 0.878 0.546 0.698
Ni 0.625 0.484 0.247
Ni 0.724 0.095 0.220
Ni 0.284 0.894 0.778
Ni 0.368 0.506 0.742
Li 0.930 0.832 0.509
Li 0.647 0.072 0.620
Li 0.580 0.500 0.968
Li 0.048 0.232 0.518
Li 0.346 0.930 0.382
Li 0.873 0.892 0.910
Li 0.184 0.120 0.125
Li 0.159 0.488 0.039
CELL_PARAMETERS angstrom
-6.512 0.000 0.000
2.691 8.789 0.000
-0.503 -4.146 -9.389
```

E above lowest polymorph (eV/f.u.): 0.24
Formation energy from the elements (meV per atom): -2488

No. 8
Entry from Materials Project: LiNiPO4 after structural relaxation (PBE+U). Values from VASP.

Structure (Quantum ESPRESSO input):
```
&SYSTEM
  ibrav = 0, nat = 28, ntyp = 4
/
ATOMIC_SPECIES
O 16.00 O.upf
P 30.97 P.upf
Li 6.94 Li.upf
Ni 58.69 Ni.upf
ATOMIC_POSITIONS crystal
O 0.687 0.670 0.927
O 0.179 0.850 0.058
O 0.114 0.621 0.746
O 0.821 0.150 0.942
O 0.238 0.057 0.266
O 0.613 0.879 0.246
O 0.319 0.351 0.443
O 0.387 0.121 0.754
O 0.813 0.170 0.572
O 0.738 0.443 0.766
O 0.262 0.557 0.234
O 0.886 0.379 0.254
O 0.187 0.830 0.428
O 0.313 0.330 0.073
O 0.762 0.943 0.734
O 0.681 0.649 0.557
P 0.196 0.404 0.248
P 0.804 0.596 0.752
P 0.303 0.904 0.252
P 0.697 0.096 0.748
Li 0.802 0.841 0.493
Li 0.302 0.659 0.993
Li 0.698 0.341 0.007
Li 0.198 0.159 0.507
Ni 0.786 0.858 0.993
Ni 0.287 0.642 0.493
Ni 0.713 0.358 0.507
Ni 0.214 0.142 0.008
CELL_PARAMETERS angstrom
4.950 -0.001 -0.102
-0.002 9.934 -0.002
0.017 -0.001 6.967
```

E above lowest polymorph (eV/f.u.): 0.22
Formation energy from the elements (meV per atom): -2334

Repeat the second record exactly.
Entry from Materials Project: Li3Ni2P3O12 after structural relaxation (PBE+U). Values from VASP.

Structure (Quantum ESPRESSO input):
```
&SYSTEM
  ibrav = 0, nat = 80, ntyp = 4
/
ATOMIC_SPECIES
O 16.00 O.upf
Li 6.94 Li.upf
P 30.97 P.upf
Ni 58.69 Ni.upf
ATOMIC_POSITIONS crystal
O 0.159 0.442 0.918
O 0.759 0.986 0.684
O 0.836 0.520 0.923
O 0.772 0.341 0.811
O 0.659 0.558 0.582
O 0.594 0.100 0.833
O 0.990 0.586 0.714
O 0.108 0.212 0.856
O 0.520 0.086 0.265
O 0.588 0.167 0.972
O 0.094 0.900 0.667
O 0.841 0.558 0.082
O 0.728 0.341 0.311
O 0.053 0.864 0.961
O 0.272 0.659 0.689
O 0.406 0.900 0.167
O 0.370 0.617 0.928
O 0.906 0.100 0.333
O 0.480 0.914 0.735
O 0.088 0.833 0.528
O 0.892 0.788 0.144
O 0.259 0.014 0.816
O 0.164 0.480 0.077
O 0.831 0.736 0.432
O 0.169 0.264 0.568
O 0.608 0.788 0.644
O 0.341 0.442 0.418
O 0.510 0.586 0.214
O 0.669 0.736 0.932
O 0.553 0.136 0.539
O 0.912 0.167 0.472
O 0.020 0.914 0.235
O 0.870 0.383 0.572
O 0.228 0.659 0.189
O 0.412 0.833 0.028
O 0.130 0.617 0.428
O 0.947 0.136 0.039
O 0.447 0.864 0.461
O 0.980 0.086 0.765
O 0.241 0.014 0.316
O 0.664 0.520 0.423
O 0.392 0.212 0.356
O 0.741 0.986 0.184
O 0.010 0.414 0.286
O 0.490 0.414 0.786
O 0.630 0.383 0.072
O 0.336 0.480 0.577
O 0.331 0.264 0.068
Li 0.435 0.650 0.790
Li 0.724 0.970 0.319
Li 0.776 0.970 0.819
Li 0.065 0.650 0.290
Li 0.565 0.350 0.210
Li 0.731 0.613 0.184
Li 0.269 0.387 0.816
Li 0.224 0.030 0.181
Li 0.769 0.613 0.684
Li 0.231 0.387 0.316
Li 0.276 0.030 0.681
Li 0.935 0.350 0.710
P 0.390 0.744 0.150
P 0.110 0.744 0.650
P 0.256 0.461 0.999
P 0.397 0.038 0.353
P 0.890 0.256 0.350
P 0.744 0.539 0.001
P 0.897 0.962 0.147
P 0.756 0.539 0.501
P 0.103 0.038 0.853
P 0.244 0.461 0.499
P 0.610 0.256 0.850
P 0.603 0.962 0.647
Ni 0.543 0.368 0.388
Ni 0.458 0.875 0.886
Ni 0.457 0.632 0.612
Ni 0.042 0.875 0.386
Ni 0.958 0.125 0.614
Ni 0.043 0.632 0.112
Ni 0.957 0.368 0.888
Ni 0.542 0.125 0.114
CELL_PARAMETERS angstrom
8.807 0.000 0.000
0.000 8.766 0.000
0.000 8.640 12.297
```

E above lowest polymorph (eV/f.u.): 0.25
Formation energy from the elements (meV per atom): -2261

- Look up the E above lowest polymorph of the second one.
  0.25 eV/f.u.